Entry 1:
LaFe5Bi4O15 | the Materials Project | GGA+U | relaxed; size of the total moment = 25.0 μB per formula unit; excess energy over the best structure of this formula in the dataset = 0 kJ/mol of formula units; E (MP2020) = -0.2702 Ha/atom; total DFT energy (no corrections) = -6.4885 eV per atom
1.0
-1.041 2.379 -5.000
-1.022 -5.566 0.741
-20.540 7.539 7.884
O Fe Bi La
30 10 8 2
Cartesian
-8.010 3.301 1.984 O
-18.382 7.301 5.395 O
-13.006 4.133 1.986 O
-15.387 2.273 3.823 O
-21.629 3.341 6.591 O
-13.440 0.434 4.807 O
-6.469 -1.027 2.126 O
-17.775 4.009 4.241 O
-4.816 1.332 0.211 O
-3.192 -2.220 -2.301 O
-3.219 -3.118 0.620 O
-1.545 0.143 -4.216 O
-2.369 -0.455 -0.200 O
-10.151 -0.659 0.376 O
-11.861 4.043 -0.523 O
-6.691 3.114 -0.772 O
-7.542 0.459 0.046 O
-10.808 2.535 1.581 O
-11.013 -1.274 4.397 O
-4.735 2.106 -2.446 O
-19.676 5.869 3.250 O
-17.330 7.709 1.409 O
-13.382 1.233 2.074 O
-20.470 3.191 4.070 O
-8.680 0.566 2.566 O
-15.120 6.094 0.988 O
-16.665 2.429 6.510 O
-15.128 5.195 3.901 O
-20.957 6.074 6.016 O
-5.407 -0.624 -1.862 O
-12.742 2.481 0.677 Fe
-6.254 1.097 -1.343 Fe
-3.063 0.905 1.071 Fe
-19.185 3.929 2.712 Fe
-20.330 7.235 4.514 Fe
-13.823 5.915 2.531 Fe
-1.937 -2.475 -0.770 Fe
-9.523 2.287 3.078 Fe
-8.403 -1.088 1.240 Fe
-16.032 3.662 5.098 Fe
-9.734 1.479 -0.432 Bi
-19.485 4.064 6.030 Bi
-6.530 1.286 1.983 Bi
-5.406 -2.091 0.133 Bi
-10.856 4.885 1.405 Bi
-0.060 -0.098 -0.035 Bi
-16.210 2.898 1.593 Bi
-3.255 0.094 -2.446 Bi
-12.901 2.859 4.060 La
-17.196 6.431 3.481 La

Entry 2:
La2MgFe2W2O12 | the Materials Project | GGA+U | relaxed; size of the total moment = 8.0 μB per formula unit; excess energy over the best structure of this formula in the dataset = 0 kJ/mol of formula units; E (MP2020) = -0.3146 Ha/atom; total DFT energy (no corrections) = -7.4209 eV per atom
1.0
5.681 0.073 -0.015
0.074 5.477 -0.006
-0.022 -0.001 7.885
O Fe W Mg La
12 2 2 1 2
Cartesian
5.398 2.327 1.885 O
0.113 3.131 6.039 O
4.571 4.489 3.546 O
3.873 1.747 7.594 O
2.793 0.698 2.019 O
1.304 1.092 4.188 O
4.402 4.325 0.499 O
3.956 1.629 4.294 O
1.148 1.097 7.679 O
2.954 5.054 5.827 O
1.704 3.779 0.463 O
1.970 3.921 3.397 O
5.691 2.793 3.961 Fe
2.848 0.057 7.873 Fe
2.933 0.065 3.941 W
5.622 2.771 7.848 W
3.141 2.817 1.735 Mg
0.367 5.401 1.934 La
2.536 2.708 5.894 La

Entry 3:
LiCoPO4 | the Materials Project | GGA+U | relaxed; size of the total moment = 3.0 μB per formula unit; excess energy over the best structure of this formula in the dataset = 57 kJ/mol of formula units; E (MP2020) = -0.2650 Ha/atom; total DFT energy (no corrections) = -6.5855 eV per atom
1.0
4.239 -7.342 0.000
4.239 7.342 0.000
0.000 0.000 7.487
Li O P Co
6 24 6 6
Cartesian
7.020 2.333 3.050 Li
5.728 -0.096 6.794 Li
5.531 -4.913 6.794 Li
2.750 0.096 3.050 Li
2.947 4.913 3.050 Li
1.458 -2.333 6.794 Li
1.213 1.073 3.770 O
2.966 1.056 1.368 O
3.916 -5.755 0.027 O
5.793 -3.101 7.459 O
5.512 -1.056 5.111 O
3.671 4.245 1.368 O
6.080 2.041 1.368 O
2.897 -3.466 7.459 O
4.028 -0.775 7.459 O
5.567 -1.270 2.609 O
2.686 3.101 3.716 O
5.923 1.887 6.352 O
4.595 -4.186 2.609 O
6.942 0.514 3.770 O
4.807 -4.245 5.111 O
7.265 -1.073 0.027 O
3.883 4.186 6.352 O
4.562 5.755 3.770 O
2.398 -2.041 5.111 O
2.912 1.270 6.352 O
5.582 3.466 3.716 O
4.450 0.775 3.716 O
2.556 -1.887 2.609 O
1.536 -0.514 0.027 O
1.683 -2.379 3.786 P
5.458 -4.695 3.786 P
3.020 4.695 0.042 P
6.795 2.379 0.042 P
5.576 -0.268 3.786 P
2.902 0.268 0.042 P
4.239 -2.447 1.495 Co
4.239 2.447 2.224 Co
4.239 2.447 5.238 Co
4.239 -2.447 5.967 Co
0.000 0.000 4.788 Co
0.000 0.000 1.045 Co

Entry 4:
MgMn2O5 | the Materials Project | GGA+U | relaxed; size of the total moment = 6.0 μB per formula unit; excess energy over the best structure of this formula in the dataset = 0 kJ/mol of formula units; E (MP2020) = -0.2740 Ha/atom; total DFT energy (no corrections) = -6.6106 eV per atom
1.0
-5.035 -0.522 1.311
4.684 -0.224 2.313
-0.572 11.119 2.232
O Mg Mn
10 2 4
Cartesian
2.025 6.148 3.366 O
4.094 3.953 3.115 O
-2.547 7.907 3.286 O
1.625 2.467 2.570 O
-2.947 4.226 2.490 O
1.830 9.942 4.128 O
4.238 1.137 2.550 O
-5.161 9.237 3.307 O
-2.752 0.432 1.728 O
-5.016 6.421 2.741 O
3.287 8.086 3.887 Mg
-4.210 2.288 1.969 Mg
2.564 0.808 2.320 Mn
-3.486 9.566 3.536 Mn
2.390 4.178 2.996 Mn
-3.313 6.196 2.860 Mn

Entry 5:
NiSO11 | the Materials Project | GGA+U | relaxed; size of the total moment = 4.0 μB per formula unit; E (MP2020) = -0.1773 Ha/atom; total DFT energy (no corrections) = -4.6289 eV per atom
1.0
-1.386 -5.123 -3.896
8.163 -5.865 4.808
-8.071 -4.273 8.490
O Ni S
44 4 4
Cartesian
-4.339 -7.149 0.266 O
-0.296 -9.131 10.221 O
0.480 -12.301 4.957 O
-1.618 -7.330 5.098 O
0.889 -6.984 2.357 O
-2.848 -6.390 1.993 O
0.191 -2.841 -0.464 O
1.634 -8.382 4.956 O
-0.593 -7.231 -1.075 O
3.576 -10.749 5.908 O
-5.393 -7.354 6.357 O
-2.081 -12.990 8.556 O
-8.507 -8.632 4.644 O
-0.639 -7.380 0.181 O
-0.442 -6.165 6.872 O
-5.808 -3.656 5.926 O
-5.250 -6.633 2.502 O
-1.281 -10.407 7.203 O
2.552 -8.088 8.297 O
4.639 -6.052 2.605 O
4.023 -3.778 3.091 O
-4.917 -5.737 9.216 O
-4.091 -8.944 3.982 O
3.514 -6.023 6.338 O
-0.654 -12.265 10.351 O
5.602 -8.835 5.009 O
-0.392 -1.747 2.221 O
-5.903 -10.731 6.517 O
0.215 -4.102 -0.324 O
0.572 -8.862 4.455 O
-0.116 -9.915 7.184 O
4.419 -6.491 5.588 O
-2.298 -5.090 5.651 O
-3.099 -8.595 9.367 O
-1.506 -4.205 2.393 O
-3.271 -11.048 5.513 O
0.765 -10.436 8.104 O
-5.087 -6.244 5.832 O
-0.062 -5.459 4.676 O
2.785 -4.976 1.382 O
3.305 -8.243 2.209 O
1.383 -10.120 1.905 O
-4.345 -8.218 6.574 O
5.822 -9.835 2.260 O
-4.378 -9.826 5.345 Ni
1.225 -9.136 9.585 Ni
1.759 -8.332 2.774 Ni
-1.194 -3.229 1.101 Ni
-1.347 -13.433 9.765 S
4.126 -4.791 2.018 S
-1.138 -6.008 5.558 S
-4.229 -6.289 1.464 S

Entry 6:
Cs2U2Mo3O16 | the Materials Project | GGA+U | relaxed; size of the total moment = 0.1 μB per formula unit; E (MP2020) = -0.3143 Ha/atom; total DFT energy (no corrections) = -7.6570 eV per atom
1.0
-2.595 7.869 6.199
0.436 -6.309 8.191
16.428 3.800 2.052
O Mo U Cs
64 12 8 8
Cartesian
13.754 1.297 6.957 O
0.999 2.245 11.028 O
2.259 0.568 4.038 O
7.817 4.324 8.435 O
12.004 6.721 10.920 O
14.244 8.535 10.548 O
9.346 -2.782 9.504 O
10.245 -1.125 11.507 O
7.842 -1.172 7.771 O
8.964 7.628 5.552 O
7.597 -0.442 10.524 O
13.150 10.025 8.037 O
9.450 4.790 6.239 O
11.960 7.410 7.957 O
5.442 -0.069 6.400 O
2.350 -1.713 7.752 O
10.522 2.657 4.546 O
5.152 3.415 13.869 O
4.046 4.323 9.444 O
13.321 0.498 9.860 O
14.112 1.691 4.033 O
7.724 3.252 4.365 O
5.965 2.320 9.531 O
10.678 -0.326 8.603 O
0.495 6.226 4.976 O
-0.270 -2.457 8.640 O
-1.438 4.121 5.806 O
5.978 6.428 8.614 O
1.507 -0.671 10.322 O
8.002 0.503 5.094 O
16.402 0.614 7.939 O
15.838 3.228 5.907 O
3.978 1.995 11.582 O
9.601 1.677 10.799 O
9.215 3.968 12.579 O
4.875 2.112 4.183 O
1.275 3.374 4.685 O
0.869 0.112 1.565 O
3.470 4.911 12.288 O
8.491 1.508 8.262 O
13.972 5.727 9.276 O
-0.175 0.826 8.742 O
12.189 4.072 12.084 O
6.996 8.622 7.196 O
14.653 2.954 8.959 O
15.508 -1.336 10.202 O
5.860 -0.693 3.536 O
-1.240 -0.606 11.270 O
13.041 3.823 5.727 O
0.958 4.538 7.321 O
3.582 6.011 7.099 O
7.046 1.466 2.314 O
5.221 -1.915 8.660 O
6.266 2.569 6.656 O
14.409 5.828 12.530 O
-0.988 1.920 13.080 O
0.089 1.214 5.907 O
-0.867 2.178 3.126 O
9.008 6.939 8.515 O
2.129 -3.560 10.011 O
11.803 6.364 13.863 O
6.724 5.814 5.924 O
6.995 2.212 12.132 O
6.217 4.846 11.341 O
8.794 2.292 12.316 Mo
9.368 3.969 4.612 Mo
7.135 2.680 8.221 Mo
-1.079 0.780 7.195 Mo
14.194 2.512 5.661 Mo
6.151 -1.530 7.231 Mo
1.420 -2.099 9.180 Mo
12.610 5.748 12.347 Mo
4.225 5.990 8.724 Mo
8.214 1.900 1.026 Mo
0.315 4.559 5.696 Mo
0.000 0.000 0.000 Mo
0.705 1.394 3.578 U
-0.105 0.805 11.157 U
7.882 6.374 7.203 U
14.853 0.547 8.880 U
5.082 3.436 11.454 U
6.430 1.287 4.643 U
13.086 7.975 9.269 U
9.146 -0.376 9.583 U
10.942 -0.673 5.435 Cs
4.406 5.254 3.812 Cs
12.266 2.837 1.532 Cs
4.162 0.963 0.520 Cs
12.620 7.154 4.838 Cs
2.729 -2.574 4.409 Cs
2.973 1.717 7.701 Cs
11.297 3.643 8.741 Cs

Q: The highest total DFT energy (no corrections) belongs to which entry?
A: NiSO11

Q: What is the formula in the second record?
A: La2MgFe2W2O12

Q: E (MP2020) of number 5 (NiSO11)?
A: -0.1773 Ha/atom